# 1
Material: RbSrCl3
Method: DFT, GGA-PBE
State: relaxed

Magnetization in Bohr magnetons per cell: 0.0
Space-group type: Pm-3m, No. 221
Calculated formation energy in kJ/mol of atoms: -250.9
Uncorrected energy in eV per formula unit: -19.38

Lattice parameters (Å, degrees): 5.696 5.696 5.696 90.00 90.00 90.00
Element x y z (fractional)
Cl (0.500, 0.000, 0.000)
Cl (0.000, 0.500, 0.000)
Cl (0.000, 0.000, 0.500)
Rb (0.500, 0.500, 0.500)
Sr (0.000, 0.000, 0.000)

# 2
Material: K5In3F14
Method: DFT, GGA-PBE
State: relaxed

Space-group type: P4/mnc, No. 128
Calculated formation energy in kJ/mol of atoms: -288.1
Uncorrected energy in eV per formula unit: -99.83

Lattice parameters (Å, degrees): 8.059 8.059 12.135 90.00 90.00 90.00
Element x y z (fractional)
F (0.819, 0.453, 0.880)
F (0.547, 0.819, 0.120)
F (0.000, 0.000, 0.828)
F (0.412, 0.749, 0.500)
F (0.912, 0.751, 0.000)
F (0.819, 0.453, 0.120)
F (0.047, 0.681, 0.620)
F (0.751, 0.088, 0.000)
F (0.953, 0.319, 0.380)
F (0.181, 0.547, 0.120)
F (0.181, 0.547, 0.880)
F (0.319, 0.047, 0.620)
F (0.500, 0.500, 0.328)
F (0.953, 0.319, 0.620)
F (0.749, 0.588, 0.500)
F (0.547, 0.819, 0.880)
F (0.453, 0.181, 0.880)
F (0.088, 0.249, 0.000)
F (0.681, 0.953, 0.380)
F (0.588, 0.251, 0.500)
F (0.500, 0.500, 0.672)
F (0.249, 0.912, 0.000)
F (0.453, 0.181, 0.120)
F (0.000, 0.000, 0.172)
F (0.681, 0.953, 0.620)
F (0.319, 0.047, 0.380)
F (0.251, 0.412, 0.500)
F (0.047, 0.681, 0.380)
K (0.000, 0.000, 0.500)
K (0.714, 0.214, 0.250)
K (0.214, 0.286, 0.250)
K (0.500, 0.500, 0.000)
K (0.714, 0.214, 0.750)
K (0.786, 0.714, 0.250)
K (0.286, 0.786, 0.750)
K (0.286, 0.786, 0.250)
K (0.786, 0.714, 0.750)
K (0.214, 0.286, 0.750)
In (0.500, 0.500, 0.500)
In (0.500, 0.000, 0.000)
In (0.000, 0.500, 0.000)
In (0.000, 0.500, 0.500)
In (0.000, 0.000, 0.000)
In (0.500, 0.000, 0.500)

# 3
Material: Li19La12Zr8O48
Method: DFT, GGA-PBE
State: relaxed

Magnetization in Bohr magnetons per cell: 9.0
Space-group type: I-4, No. 82
Calculated formation energy in kJ/mol of atoms: -293.5
Uncorrected energy in eV per formula unit: -633.04

Lattice parameters (Å, degrees): 11.369 11.369 11.369 108.50 108.50 111.43
Element x y z (fractional)
Li (0.400, 0.655, 0.417)
Li (0.340, 0.251, 0.740)
Li (0.848, 0.091, 0.586)
Li (0.016, 0.600, 0.255)
Li (0.909, 0.495, 0.757)
Li (0.012, 0.753, 0.914)
Li (0.345, 0.762, 0.745)
Li (0.238, 0.984, 0.583)
Li (0.500, 0.500, 0.000)
Li (0.902, 0.988, 0.742)
Li (0.738, 0.152, 0.243)
Li (0.750, 0.250, 0.500)
Li (0.749, 0.489, 0.088)
Li (0.839, 0.098, 0.086)
Li (0.505, 0.262, 0.414)
Li (0.511, 0.599, 0.260)
Li (0.247, 0.161, 0.258)
Li (0.000, 0.000, 0.000)
Li (0.401, 0.660, 0.912)
O (0.707, 0.079, 0.919)
O (0.921, 0.840, 0.628)
O (0.809, 0.857, 0.843)
O (0.239, 0.788, 0.340)
O (0.830, 0.960, 0.422)
O (0.807, 0.587, 0.832)
O (0.527, 0.746, 0.833)
O (0.330, 0.907, 0.870)
O (0.337, 0.057, 0.333)
O (0.143, 0.985, 0.951)
O (0.015, 0.966, 0.157)
O (0.025, 0.193, 0.780)
O (0.943, 0.286, 0.550)
O (0.538, 0.408, 0.578)
O (0.093, 0.963, 0.423)
O (0.034, 0.191, 0.049)
O (0.606, 0.057, 0.343)
O (0.101, 0.761, 0.549)
O (0.037, 0.461, 0.130)
O (0.210, 0.288, 0.630)
O (0.736, 0.394, 0.450)
O (0.254, 0.087, 0.781)
O (0.538, 0.488, 0.844)
O (0.714, 0.264, 0.657)
O (0.160, 0.788, 0.081)
O (0.996, 0.663, 0.720)
O (0.837, 0.504, 0.281)
O (0.943, 0.277, 0.280)
O (0.413, 0.245, 0.220)
O (0.306, 0.473, 0.219)
O (0.306, 0.462, 0.950)
O (0.040, 0.462, 0.870)
O (0.444, 0.163, 0.667)
O (0.223, 0.556, 0.719)
O (0.539, 0.670, 0.577)
O (0.592, 0.170, 0.130)
O (0.723, 0.004, 0.667)
O (0.212, 0.552, 0.451)
O (0.712, 0.342, 0.922)
O (0.496, 0.777, 0.333)
O (0.420, 0.790, 0.078)
O (0.512, 0.356, 0.050)
O (0.448, 0.899, 0.660)
O (0.755, 0.975, 0.168)
O (0.644, 0.694, 0.156)
O (0.913, 0.694, 0.167)
O (0.212, 0.293, 0.372)
O (0.658, 0.580, 0.370)
Zr (0.625, 0.876, 0.250)
Zr (0.628, 0.872, 0.752)
Zr (0.124, 0.374, 0.750)
Zr (0.120, 0.876, 0.248)
Zr (0.626, 0.375, 0.750)
Zr (0.124, 0.372, 0.244)
Zr (0.128, 0.880, 0.756)
Zr (0.625, 0.375, 0.250)
La (0.377, 0.987, 0.114)
La (0.737, 0.623, 0.610)
La (0.748, 0.748, 0.000)
La (0.378, 0.487, 0.615)
La (0.237, 0.622, 0.109)
La (0.013, 0.127, 0.390)
La (0.873, 0.263, 0.886)
La (0.872, 0.763, 0.385)
La (0.513, 0.128, 0.891)
La (0.499, 0.999, 0.500)
La (0.252, 0.252, 0.000)
La (0.001, 0.501, 0.500)

> The lowest uncorrected energy belongs to which entry?

Li19La12Zr8O48